#a
Here is CaCo3O7 after structural relaxation from the Materials Project database. Energies are from PBE with a Hubbard U.

Unit cell a=6.7395 b=14.2575 c=10.9985 alpha=90.00 beta=102.56 gamma=90.00
Fractional positions:
1 Ca 0.0859 0.0073 0.2362
2 Ca 0.0859 0.4927 0.7362
3 Ca 0.3376 0.1258 0.9767
4 Ca 0.3376 0.3742 0.4767
5 Ca 0.6624 0.6258 0.5233
6 Ca 0.6624 0.8742 0.0233
7 Ca 0.9141 0.5073 0.2638
8 Ca 0.9141 0.9927 0.7638
9 Co 0.0115 0.7480 0.2525
10 Co 0.0115 0.7520 0.7525
11 Co 0.1269 0.1453 0.5201
12 Co 0.1269 0.3547 0.0201
13 Co 0.1599 0.6378 0.5209
14 Co 0.1599 0.8622 0.0209
15 Co 0.3685 0.6764 0.9174
16 Co 0.3685 0.8236 0.4174
17 Co 0.3984 0.5137 0.1816
18 Co 0.3984 0.9863 0.6816
19 Co 0.4973 0.2030 0.3076
20 Co 0.4973 0.2970 0.8076
21 Co 0.5027 0.7030 0.1924
22 Co 0.5027 0.7970 0.6924
23 Co 0.6016 0.0137 0.3184
24 Co 0.6016 0.4863 0.8184
25 Co 0.6315 0.1764 0.5826
26 Co 0.6315 0.3236 0.0826
27 Co 0.8401 0.1378 0.9791
28 Co 0.8401 0.3622 0.4791
29 Co 0.8731 0.6453 0.9799
30 Co 0.8731 0.8547 0.4799
31 Co 0.9885 0.2480 0.2475
32 Co 0.9885 0.2520 0.7475
33 O 0.0035 0.6540 0.6346
34 O 0.0035 0.8460 0.1346
35 O 0.0063 0.1483 0.3589
36 O 0.0056 0.1531 0.1282
37 O 0.0056 0.3469 0.6282
38 O 0.0063 0.3517 0.8589
39 O 0.0708 0.6634 0.8816
40 O 0.0708 0.8366 0.3816
41 O 0.2042 0.0295 0.5508
42 O 0.2042 0.4705 0.0508
43 O 0.2350 0.5214 0.5412
44 O 0.2350 0.9786 0.0412
45 O 0.2718 0.2326 0.7854
46 O 0.2718 0.2674 0.2854
47 O 0.2781 0.0213 0.7941
48 O 0.2781 0.4787 0.2941
49 O 0.3043 0.7442 0.2869
50 O 0.3043 0.7558 0.7869
51 O 0.3523 0.2126 0.5557
52 O 0.3523 0.2874 0.0557
53 O 0.3729 0.7163 0.5441
54 O 0.3729 0.7837 0.0441
55 O 0.3827 0.5693 0.8343
56 O 0.3827 0.9307 0.3343
57 O 0.4181 0.0990 0.2120
58 O 0.4181 0.4010 0.7120
59 O 0.4181 0.6145 0.0737
60 O 0.4181 0.8855 0.5737
61 O 0.5819 0.1145 0.4263
62 O 0.5819 0.3855 0.9263
63 O 0.5819 0.5990 0.2880
64 O 0.5819 0.9010 0.7880
65 O 0.6173 0.0693 0.6657
66 O 0.6173 0.4307 0.1657
67 O 0.6271 0.2163 0.9559
68 O 0.6271 0.2837 0.4559
69 O 0.6477 0.7126 0.9443
70 O 0.6477 0.7874 0.4443
71 O 0.6957 0.2442 0.2131
72 O 0.6957 0.2558 0.7131
73 O 0.7219 0.5213 0.7059
74 O 0.7219 0.9787 0.2059
75 O 0.7282 0.7326 0.7146
76 O 0.7282 0.7674 0.2146
77 O 0.7650 0.0214 0.9588
78 O 0.7650 0.4786 0.4588
79 O 0.7958 0.5295 0.9492
80 O 0.7958 0.9705 0.4492
81 O 0.9292 0.1634 0.6184
82 O 0.9292 0.3366 0.1184
83 O 0.9937 0.6483 0.1411
84 O 0.9944 0.6531 0.3718
85 O 0.9944 0.8469 0.8718
86 O 0.9937 0.8517 0.6411
87 O 0.9965 0.1540 0.8654
88 O 0.9965 0.3460 0.3654

Computed properties:
- calculated volume (Å³/cell) = 1032
- space-group type = P2_1/c (14)
- theoretical density (g/cm³) = 4.24


#b
Here is CaCo3O7 after structural relaxation from the Materials Project database. Energies are from PBE with a Hubbard U.

Unit cell a=10.7859 b=10.2785 c=5.2741 alpha=90.00 beta=90.00 gamma=90.00
Fractional positions:
1 Ca 0.0708 0.2500 0.1779
2 Ca 0.4292 0.7500 0.6779
3 Ca 0.5708 0.2500 0.3221
4 Ca 0.9292 0.7500 0.8221
5 Co 0.1973 0.5221 0.6964
6 Co 0.1973 0.9779 0.6964
7 Co 0.2194 0.7500 0.1910
8 Co 0.2806 0.2500 0.6910
9 Co 0.3027 0.0221 0.1964
10 Co 0.3027 0.4779 0.1964
11 Co 0.6973 0.5221 0.8036
12 Co 0.6973 0.9779 0.8036
13 Co 0.7194 0.7500 0.3090
14 Co 0.7806 0.2500 0.8090
15 Co 0.8027 0.0221 0.3036
16 Co 0.8027 0.4779 0.3036
17 O 0.0516 0.5736 0.7128
18 O 0.0516 0.9264 0.7128
19 O 0.0645 0.7500 0.1743
20 O 0.2168 0.1166 0.4553
21 O 0.2168 0.3834 0.4553
22 O 0.2219 0.1173 0.9338
23 O 0.2219 0.3827 0.9338
24 O 0.2781 0.6173 0.4338
25 O 0.2781 0.8827 0.4338
26 O 0.2832 0.6166 0.9553
27 O 0.2832 0.8834 0.9553
28 O 0.4355 0.2500 0.6743
29 O 0.4484 0.0736 0.2128
30 O 0.4484 0.4264 0.2128
31 O 0.5516 0.5736 0.7872
32 O 0.5516 0.9264 0.7872
33 O 0.5645 0.7500 0.3257
34 O 0.7168 0.1166 0.0447
35 O 0.7168 0.3834 0.0447
36 O 0.7219 0.1173 0.5662
37 O 0.7219 0.3827 0.5662
38 O 0.7781 0.6173 0.0662
39 O 0.7781 0.8827 0.0662
40 O 0.7832 0.6166 0.5447
41 O 0.7832 0.8834 0.5447
42 O 0.9355 0.2500 0.8257
43 O 0.9484 0.0736 0.2872
44 O 0.9484 0.4264 0.2872

Computed properties:
- calculated volume (Å³/cell) = 585
- space-group type = Pnma (62)
- theoretical density (g/cm³) = 3.74


The least stable of them is #b.


#a
Here is CaCoP2O7 after structural relaxation from the Materials Project database. Energies are from PBE with a Hubbard U.

Unit cell a=6.5193 b=6.5913 c=6.7180 alpha=66.28 beta=87.24 gamma=82.55
Fractional positions:
1 Ca 0.1427 0.2289 0.3263
2 Ca 0.8573 0.7711 0.6737
3 Co 0.3516 0.4008 0.7242
4 Co 0.6484 0.5992 0.2758
5 P 0.1434 0.7284 0.2513
6 P 0.3734 0.8575 0.8322
7 P 0.6266 0.1425 0.1678
8 P 0.8566 0.2716 0.7487
9 O 0.0255 0.3988 0.7803
10 O 0.0682 0.8837 0.3622
11 O 0.2226 0.8895 0.0204
12 O 0.2729 0.7059 0.7542
13 O 0.3288 0.5508 0.3669
14 O 0.3750 0.0975 0.6618
15 O 0.4118 0.2459 0.0629
16 O 0.5882 0.7541 0.9371
17 O 0.6250 0.9025 0.3382
18 O 0.6712 0.4492 0.6331
19 O 0.7271 0.2941 0.2458
20 O 0.7774 0.1105 0.9796
21 O 0.9318 0.1163 0.6378
22 O 0.9745 0.6012 0.2197

Computed properties:
- calculated volume (Å³/cell) = 262
- space-group type = P-1 (2)
- theoretical density (g/cm³) = 3.46


#b
Here is CaCoP2O7 after structural relaxation from the Materials Project database. Energies are from PBE with a Hubbard U.

Unit cell a=6.3501 b=6.5864 c=7.0115 alpha=96.20 beta=90.18 gamma=112.18
Fractional positions:
1 Ca 0.2037 0.2341 0.3821
2 Ca 0.7963 0.7659 0.6179
3 Co 0.2563 0.6338 0.8057
4 Co 0.7437 0.3662 0.1943
5 P 0.2547 0.7223 0.3696
6 P 0.3361 0.1594 0.8772
7 P 0.6639 0.8406 0.1228
8 P 0.7453 0.2777 0.6304
9 O 0.0867 0.5061 0.2587
10 O 0.1479 0.8823 0.4482
11 O 0.1717 0.9171 0.8561
12 O 0.2608 0.3104 0.7686
13 O 0.3816 0.6556 0.5258
14 O 0.4154 0.2522 0.0885
15 O 0.4332 0.8502 0.2215
16 O 0.5668 0.1498 0.7785
17 O 0.5846 0.7478 0.9115
18 O 0.6184 0.3444 0.4742
19 O 0.7392 0.6896 0.2314
20 O 0.8283 0.0829 0.1439
21 O 0.8521 0.1177 0.5518
22 O 0.9133 0.4939 0.7413

Computed properties:
- calculated volume (Å³/cell) = 270
- space-group type = P-1 (2)
- theoretical density (g/cm³) = 3.36


The least stable of them is #a.